(1)
A plane-wave DFT calculation with PBE-GGA was carried out for a geometry-optimized Tm2Ge3Pt9 structure.

a = 7.804 Å, b = 7.804 Å, c = 10.061 Å
α = 67.23°, β = 67.23°, γ = 60.31°
Fractional positions:
Pt 0.478 0.639 0.578
Pt 0.865 0.135 0.750
Pt 0.135 0.865 0.250
Pt 0.307 0.140 0.080
Pt 0.022 0.205 0.923
Pt 0.916 0.298 0.256
Pt 0.084 0.702 0.744
Pt 0.298 0.916 0.756
Pt 0.693 0.860 0.920
Pt 0.361 0.522 0.922
Pt 0.702 0.084 0.244
Pt 0.795 0.978 0.577
Pt 0.140 0.307 0.580
Pt 0.978 0.795 0.077
Pt 0.522 0.361 0.422
Pt 0.860 0.693 0.420
Pt 0.639 0.478 0.078
Pt 0.205 0.022 0.423
Ge 0.818 0.361 0.502
Ge 0.000 0.500 0.000
Ge 0.639 0.182 0.998
Ge 0.361 0.818 0.002
Ge 0.182 0.639 0.498
Ge 0.500 0.000 0.500
Tm 0.584 0.755 0.249
Tm 0.755 0.584 0.749
Tm 0.245 0.416 0.251
Tm 0.416 0.245 0.751

Properties
Magnetization: 0.000 μB/atom
Formation enthalpy at 0 K: -0.78 eV/atom
VASP energy: -6.3159 eV/atom

=====

(2)
A plane-wave DFT calculation with PBE-GGA was carried out for a geometry-optimized ZnSn2P2O8 structure.

a = 5.233 Å, b = 9.627 Å, c = 16.518 Å
α = 87.07°, β = 80.86°, γ = 74.24°
Fractional positions:
O 0.628 0.115 0.430
O 0.063 0.010 0.878
O 0.044 0.514 0.378
O 0.376 0.834 0.054
O 0.537 0.419 0.396
O 0.462 0.927 0.368
O 0.841 0.821 0.609
O 0.935 0.988 0.122
O 0.999 0.363 0.220
O 0.004 0.639 0.779
O 0.303 0.883 0.208
O 0.429 0.858 0.721
O 0.399 0.616 0.291
O 0.377 0.884 0.570
O 0.263 0.670 0.445
O 0.739 0.332 0.553
O 0.693 0.115 0.792
O 0.606 0.383 0.708
O 0.166 0.183 0.390
O 0.623 0.168 0.946
O 0.645 0.918 0.897
O 0.167 0.386 0.069
O 0.755 0.575 0.131
O 0.828 0.613 0.930
O 0.539 0.074 0.632
O 0.953 0.490 0.620
O 0.350 0.083 0.105
O 0.460 0.581 0.604
O 0.731 0.321 0.110
O 0.265 0.677 0.891
O 0.240 0.423 0.867
O 0.582 0.140 0.279
P 0.909 0.414 0.138
P 0.463 0.088 0.362
P 0.758 0.055 0.876
P 0.693 0.443 0.623
P 0.239 0.944 0.124
P 0.541 0.913 0.638
P 0.089 0.585 0.862
P 0.307 0.557 0.376
Sn 0.624 0.699 0.490
Sn 0.500 0.499 0.003
Sn 0.341 0.251 0.750
Sn 0.378 0.299 0.511
Sn 0.813 0.798 0.010
Sn 0.999 0.998 0.501
Sn 0.188 0.198 0.990
Sn 0.656 0.752 0.251
Zn 0.381 0.848 0.840
Zn 0.072 0.649 0.661
Zn 0.927 0.352 0.339
Zn 0.618 0.149 0.161

Properties
Relative energy among the computed polymorphs: 0 meV/atom
Magnetization: 0.000 μB/atom
Formation enthalpy at 0 K: -2.25 eV/atom
VASP energy: -6.4201 eV/atom